1.
Material: NdInPd
Method: DFT, r2SCAN
State: relaxed

Calculated values
Uncorrected energy ... -25.86 eV/atom

```
data_NdInPd
_chemical_formula_sum 'Nd3 In3 Pd3'
_cell_length_a 7.8111
_cell_length_b 7.8111
_cell_length_c 3.9532
_cell_angle_alpha 90.00
_cell_angle_beta 90.00
_cell_angle_gamma 120.00
_symmetry_space_group_name_H-M 'P -6 2 m'
_symmetry_Int_Tables_number 189
_symmetry_space_group_name_Hall 'P -6 -2'
loop_
_atom_site_label
_atom_site_fract_x
_atom_site_fract_y
_atom_site_fract_z
_atom_site_occupancy
Nd1 0.0000 0.5882 0.0000 1
In1 0.0000 0.2535 0.5000 1
Pd1 0.0000 0.0000 0.0000 1
Pd2 0.3333 0.6667 0.5000 1
```

2.
Material: Nd2In8Pd
Method: DFT, r2SCAN
State: relaxed

Calculated values
Uncorrected energy ... -24.42 eV/atom

```
data_Nd2In8Pd
_chemical_formula_sum 'Nd2 In8 Pd1'
_cell_length_a 4.703
_cell_length_b 4.703
_cell_length_c 12.231
_cell_angle_alpha 90.00
_cell_angle_beta 90.00
_cell_angle_gamma 90.00
_symmetry_space_group_name_H-M 'P 4/m m m'
_symmetry_Int_Tables_number 123
_symmetry_space_group_name_Hall '-P 4 2'
loop_
_atom_site_label
_atom_site_fract_x
_atom_site_fract_y
_atom_site_fract_z
_atom_site_occupancy
Nd1 0.000 0.000 0.190 1
In1 0.000 0.500 0.000 1
In2 0.000 0.500 0.377 1
In3 0.500 0.500 0.194 1
Pd1 0.000 0.000 0.500 1
```

3.
Material: PmNdIn2
Method: DFT, r2SCAN
State: relaxed

Calculated values
Uncorrected energy ... -26.66 eV/atom

```
data_PmNdIn2
_chemical_formula_sum 'Pm4 Nd4 In8'
_cell_length_a 7.706
_cell_length_b 7.706
_cell_length_c 7.706
_cell_angle_alpha 90.00
_cell_angle_beta 90.00
_cell_angle_gamma 90.00
_symmetry_space_group_name_H-M 'F m -3 m'
_symmetry_Int_Tables_number 225
_symmetry_space_group_name_Hall '-F 4 2 3'
loop_
_atom_site_label
_atom_site_fract_x
_atom_site_fract_y
_atom_site_fract_z
_atom_site_occupancy
Pm1 0.000 0.000 0.000 1
Nd1 0.000 0.000 0.500 1
In1 0.250 0.250 0.250 1
```

4.
Material: PrNdIn2
Method: DFT, r2SCAN
State: relaxed

Calculated values
Uncorrected energy ... -26.61 eV/atom

```
data_PrNdIn2
_chemical_formula_sum 'Pr4 Nd4 In8'
_cell_length_a 7.766
_cell_length_b 7.766
_cell_length_c 7.766
_cell_angle_alpha 90.00
_cell_angle_beta 90.00
_cell_angle_gamma 90.00
_symmetry_space_group_name_H-M 'F m -3 m'
_symmetry_Int_Tables_number 225
_symmetry_space_group_name_Hall '-F 4 2 3'
loop_
_atom_site_label
_atom_site_fract_x
_atom_site_fract_y
_atom_site_fract_z
_atom_site_occupancy
Pr1 0.000 0.000 0.000 1
Nd1 0.000 0.000 0.500 1
In1 0.250 0.250 0.250 1
```

5.
Material: NdInPt
Method: DFT, r2SCAN
State: relaxed

Calculated values
Uncorrected energy ... -35.59 eV/atom

```
data_NdInPt
_chemical_formula_sum 'Nd3 In3 Pt3'
_cell_length_a 7.7611
_cell_length_b 7.7611
_cell_length_c 3.9842
_cell_angle_alpha 90.00
_cell_angle_beta 90.00
_cell_angle_gamma 120.00
_symmetry_space_group_name_H-M 'P -6 2 m'
_symmetry_Int_Tables_number 189
_symmetry_space_group_name_Hall 'P -6 -2'
loop_
_atom_site_label
_atom_site_fract_x
_atom_site_fract_y
_atom_site_fract_z
_atom_site_occupancy
Nd1 0.0000 0.5897 0.0000 1
In1 0.0000 0.2541 0.5000 1
Pt1 0.0000 0.0000 0.0000 1
Pt2 0.3333 0.6667 0.5000 1
```

6.
Material: NdIn2Rh
Method: DFT, r2SCAN
State: relaxed

Calculated values
Uncorrected energy ... -25.40 eV/atom

```
data_NdIn2Rh
_chemical_formula_sum 'Nd4 In8 Rh4'
_cell_length_a 4.435
_cell_length_b 10.261
_cell_length_c 7.953
_cell_angle_alpha 90.00
_cell_angle_beta 90.00
_cell_angle_gamma 90.00
_symmetry_space_group_name_H-M 'C m c m'
_symmetry_Int_Tables_number 63
_symmetry_space_group_name_Hall '-C 2c 2'
loop_
_atom_site_label
_atom_site_fract_x
_atom_site_fract_y
_atom_site_fract_z
_atom_site_occupancy
Nd1 0.000 0.066 0.250 1
In1 0.000 0.353 0.051 1
Rh1 0.000 0.214 0.750 1
```

7.
Material: NdIn5Rh
Method: DFT, r2SCAN
State: relaxed

Calculated values
Uncorrected energy ... -24.35 eV/atom

```
data_NdIn5Rh
_chemical_formula_sum 'Nd1 In5 Rh1'
_cell_length_a 4.671
_cell_length_b 4.671
_cell_length_c 7.563
_cell_angle_alpha 90.00
_cell_angle_beta 90.00
_cell_angle_gamma 90.00
_symmetry_space_group_name_H-M 'P 4/m m m'
_symmetry_Int_Tables_number 123
_symmetry_space_group_name_Hall '-P 4 2'
loop_
_atom_site_label
_atom_site_fract_x
_atom_site_fract_y
_atom_site_fract_z
_atom_site_occupancy
Nd1 0.000 0.000 0.000 1
In1 0.000 0.500 0.305 1
In2 0.500 0.500 0.000 1
Rh1 0.000 0.000 0.500 1
```

8.
Material: NdInRh2
Method: DFT, r2SCAN
State: relaxed

Calculated values
Uncorrected energy ... -25.74 eV/atom

```
data_NdInRh2
_chemical_formula_sum 'Nd4 In4 Rh8'
_cell_length_a 6.731
_cell_length_b 6.731
_cell_length_c 6.731
_cell_angle_alpha 90.00
_cell_angle_beta 90.00
_cell_angle_gamma 90.00
_symmetry_space_group_name_H-M 'F m -3 m'
_symmetry_Int_Tables_number 225
_symmetry_space_group_name_Hall '-F 4 2 3'
loop_
_atom_site_label
_atom_site_fract_x
_atom_site_fract_y
_atom_site_fract_z
_atom_site_occupancy
Nd1 0.000 0.000 0.000 1
In1 0.000 0.000 0.500 1
Rh1 0.250 0.250 0.250 1
```

9.
Material: Nd3InS6
Method: DFT, r2SCAN
State: relaxed

Calculated values
Uncorrected energy ... -17.89 eV/atom

```
data_Nd3InS6
_chemical_formula_sum 'Nd12 In4 S24'
_cell_length_a 13.815
_cell_length_b 16.826
_cell_length_c 3.997
_cell_angle_alpha 90.00
_cell_angle_beta 90.00
_cell_angle_gamma 90.00
_symmetry_space_group_name_H-M 'P 21 21 2'
_symmetry_Int_Tables_number 18
loop_
_symmetry_equiv_pos_as_xyz
'x,y,z'
'-x,-y,z'
'x+1/2,-y+1/2,-z'
'-x+1/2,y+1/2,-z'
loop_
_atom_site_label
_atom_site_fract_x
_atom_site_fract_y
_atom_site_fract_z
_atom_site_occupancy
Nd1 0.036 0.222 0.246 1
Nd2 0.192 0.643 0.246 1
Nd3 0.248 0.391 0.240 1
In1 0.000 0.000 0.901 1
In2 0.000 0.500 0.745 1
S1 0.020 0.398 0.245 1
S2 0.102 0.911 0.264 1
S3 0.107 0.110 0.748 1
S4 0.114 0.744 0.748 1
S5 0.178 0.283 0.743 1
S6 0.188 0.518 0.745 1
```

10.
Material: Nd2In3Sn3
Method: DFT, r2SCAN
State: relaxed

Calculated values
Uncorrected energy ... -25.65 eV/atom

```
data_Nd2In3Sn3
_chemical_formula_sum 'Nd2 In3 Sn3'
_cell_length_a 4.705
_cell_length_b 4.868
_cell_length_c 9.229
_cell_angle_alpha 90.00
_cell_angle_beta 90.00
_cell_angle_gamma 90.00
_symmetry_space_group_name_H-M 'P m m m'
_symmetry_Int_Tables_number 47
loop_
_symmetry_equiv_pos_as_xyz
'x,y,z'
'-x,-y,-z'
'-x,-y,z'
'x,y,-z'
'x,-y,-z'
'-x,y,z'
'-x,y,-z'
'x,-y,z'
loop_
_atom_site_label
_atom_site_fract_x
_atom_site_fract_y
_atom_site_fract_z
_atom_site_occupancy
Nd1 0.000 0.000 0.247 1
In1 0.000 0.500 0.500 1
In2 0.500 0.500 0.252 1
Sn1 0.000 0.500 0.000 1
Sn2 0.500 0.000 0.000 1
Sn3 0.500 0.000 0.500 1
```

11.
Material: NdYIn2
Method: DFT, r2SCAN
State: relaxed

Calculated values
Uncorrected energy ... -24.34 eV/atom

```
data_NdYIn2
_chemical_formula_sum 'Nd4 Y4 In8'
_cell_length_a 7.623
_cell_length_b 7.623
_cell_length_c 7.623
_cell_angle_alpha 90.00
_cell_angle_beta 90.00
_cell_angle_gamma 90.00
_symmetry_space_group_name_H-M 'F m -3 m'
_symmetry_Int_Tables_number 225
_symmetry_space_group_name_Hall '-F 4 2 3'
loop_
_atom_site_label
_atom_site_fract_x
_atom_site_fract_y
_atom_site_fract_z
_atom_site_occupancy
Nd1 0.000 0.000 0.000 1
Y1 0.000 0.000 0.500 1
In1 0.250 0.250 0.250 1
```

12.
Material: Nd2ZnIn
Method: DFT, r2SCAN
State: relaxed

Calculated values
Uncorrected energy ... -23.05 eV/atom

```
data_Nd2ZnIn
_chemical_formula_sum 'Nd8 Zn4 In4'
_cell_length_a 7.588
_cell_length_b 7.588
_cell_length_c 7.588
_cell_angle_alpha 90.00
_cell_angle_beta 90.00
_cell_angle_gamma 90.00
_symmetry_space_group_name_H-M 'F m -3 m'
_symmetry_Int_Tables_number 225
_symmetry_space_group_name_Hall '-F 4 2 3'
loop_
_atom_site_label
_atom_site_fract_x
_atom_site_fract_y
_atom_site_fract_z
_atom_site_occupancy
Nd1 0.250 0.250 0.250 1
Zn1 0.000 0.000 0.000 1
In1 0.000 0.000 0.500 1
```

13.
Material: In9Ni13
Method: DFT, r2SCAN
State: relaxed

Calculated values
Uncorrected energy ... -16.43 eV/atom

```
data_In9Ni13
_chemical_formula_sum 'In18 Ni26'
_cell_length_a 10.399
_cell_length_b 8.361
_cell_length_c 8.994
_cell_angle_alpha 90.00
_cell_angle_beta 125.27
_cell_angle_gamma 90.00
_symmetry_space_group_name_H-M 'C 1 2/m 1'
_symmetry_Int_Tables_number 12
loop_
_symmetry_equiv_pos_as_xyz
'x,y,z'
'-x,-y,-z'
'-x,y,-z'
'x,-y,z'
'x+1/2,y+1/2,z'
'-x+1/2,-y+1/2,-z'
'-x+1/2,y+1/2,-z'
'x+1/2,-y+1/2,z'
loop_
_atom_site_label
_atom_site_fract_x
_atom_site_fract_y
_atom_site_fract_z
_atom_site_occupancy
In1 0.000 0.000 0.000 1
In2 0.041 0.289 0.810 1
In3 0.175 0.500 0.617 1
In4 0.211 0.000 0.666 1
Ni1 0.000 0.236 0.500 1
Ni2 0.000 0.500 0.000 1
Ni3 0.046 0.000 0.324 1
Ni4 0.195 0.242 0.160 1
Ni5 0.240 0.000 0.980 1
Ni6 0.250 0.250 0.500 1
```

14.
Material: In7Ni3
Method: DFT, r2SCAN
State: relaxed

Calculated values
Uncorrected energy ... -19.57 eV/atom

```
data_In7Ni3
_chemical_formula_sum 'In28 Ni12'
_cell_length_a 9.194
_cell_length_b 9.194
_cell_length_c 9.194
_cell_angle_alpha 90.00
_cell_angle_beta 90.00
_cell_angle_gamma 90.00
_symmetry_space_group_name_H-M 'I m -3 m'
_symmetry_Int_Tables_number 229
_symmetry_space_group_name_Hall '-I 4 2 3'
loop_
_atom_site_label
_atom_site_fract_x
_atom_site_fract_y
_atom_site_fract_z
_atom_site_occupancy
In1 0.000 0.250 0.500 1
In2 0.161 0.161 0.161 1
Ni1 0.000 0.000 0.356 1
```

15.
Material: In3Ni2
Method: DFT, r2SCAN
State: relaxed

Calculated values
Uncorrected energy ... -18.55 eV/atom

```
data_In3Ni2
_chemical_formula_sum 'In3 Ni2'
_cell_length_a 4.3851
_cell_length_b 4.3851
_cell_length_c 5.2992
_cell_angle_alpha 90.00
_cell_angle_beta 90.00
_cell_angle_gamma 120.00
_symmetry_space_group_name_H-M 'P -3 m 1'
_symmetry_Int_Tables_number 164
_symmetry_space_group_name_Hall '-P 3 2"'
loop_
_atom_site_label
_atom_site_fract_x
_atom_site_fract_y
_atom_site_fract_z
_atom_site_occupancy
In1 0.0000 0.0000 0.0000 1
In2 0.3333 0.6667 0.6463 1
Ni1 0.3333 0.6667 0.1409 1
```

16.
Material: Sr3InNiO6
Method: DFT, r2SCAN
State: relaxed

Calculated values
Uncorrected energy ... -12.90 eV/atom

```
data_Sr3InNiO6
_chemical_formula_sum 'Sr12 In4 Ni4 O24'
_cell_length_a 9.363
_cell_length_b 9.656
_cell_length_c 6.624
_cell_angle_alpha 90.00
_cell_angle_beta 93.45
_cell_angle_gamma 90.00
_symmetry_space_group_name_H-M 'P 1 21/c 1'
_symmetry_Int_Tables_number 14
loop_
_symmetry_equiv_pos_as_xyz
'x,y,z'
'-x,-y,-z'
'-x,y+1/2,-z+1/2'
'x,-y+1/2,z+1/2'
loop_
_atom_site_label
_atom_site_fract_x
_atom_site_fract_y
_atom_site_fract_z
_atom_site_occupancy
Sr1 0.058 0.186 0.115 1
Sr2 0.256 0.629 0.759 1
Sr3 0.427 0.186 0.376 1
In1 0.248 0.502 0.254 1
Ni1 0.000 0.000 0.500 1
Ni2 0.500 0.000 0.000 1
O1 0.019 0.062 0.775 1
O2 0.134 0.670 0.101 1
O3 0.179 0.096 0.462 1
O4 0.300 0.099 0.040 1
O5 0.391 0.659 0.419 1
O6 0.472 0.063 0.716 1
```

17.
Material: PaInNi2
Method: DFT, r2SCAN
State: relaxed

Calculated values
Uncorrected energy ... -31.14 eV/atom

```
data_PaInNi2
_chemical_formula_sum 'Pa4 In4 Ni8'
_cell_length_a 6.506
_cell_length_b 6.506
_cell_length_c 6.506
_cell_angle_alpha 90.00
_cell_angle_beta 90.00
_cell_angle_gamma 90.00
_symmetry_space_group_name_H-M 'F m -3 m'
_symmetry_Int_Tables_number 225
_symmetry_space_group_name_Hall '-F 4 2 3'
loop_
_atom_site_label
_atom_site_fract_x
_atom_site_fract_y
_atom_site_fract_z
_atom_site_occupancy
Pa1 0.000 0.000 0.000 1
In1 0.000 0.000 0.500 1
Ni1 0.250 0.250 0.250 1
```

18.
Material: PmInNi2
Method: DFT, r2SCAN
State: relaxed

Calculated values
Uncorrected energy ... -19.31 eV/atom

```
data_PmInNi2
_chemical_formula_sum 'Pm4 In4 Ni8'
_cell_length_a 6.558
_cell_length_b 6.558
_cell_length_c 6.558
_cell_angle_alpha 90.00
_cell_angle_beta 90.00
_cell_angle_gamma 90.00
_symmetry_space_group_name_H-M 'F m -3 m'
_symmetry_Int_Tables_number 225
_symmetry_space_group_name_Hall '-F 4 2 3'
loop_
_atom_site_label
_atom_site_fract_x
_atom_site_fract_y
_atom_site_fract_z
_atom_site_occupancy
Pm1 0.000 0.000 0.000 1
In1 0.000 0.000 0.500 1
Ni1 0.250 0.250 0.250 1
```

19.
Material: PmInNi2
Method: DFT, r2SCAN
State: relaxed

Calculated values
Uncorrected energy ... -19.31 eV/atom

```
data_PmInNi2
_chemical_formula_sum 'Pm2 In2 Ni4'
_cell_length_a 8.036
_cell_length_b 4.613
_cell_length_c 4.674
_cell_angle_alpha 90.00
_cell_angle_beta 125.33
_cell_angle_gamma 90.00
_symmetry_space_group_name_H-M 'C 1 2/m 1'
_symmetry_Int_Tables_number 12
loop_
_symmetry_equiv_pos_as_xyz
'x,y,z'
'-x,-y,-z'
'-x,y,-z'
'x,-y,z'
'x+1/2,y+1/2,z'
'-x+1/2,-y+1/2,-z'
'-x+1/2,y+1/2,-z'
'x+1/2,-y+1/2,z'
loop_
_atom_site_label
_atom_site_fract_x
_atom_site_fract_y
_atom_site_fract_z
_atom_site_occupancy
Pm1 0.000 0.000 0.000 1
In1 0.000 0.500 0.500 1
Ni1 0.242 0.000 0.739 1
```

20.
Material: PrInNi
Method: DFT, r2SCAN
State: relaxed

Calculated values
Uncorrected energy ... -21.80 eV/atom

```
data_PrInNi
_chemical_formula_sum 'Pr3 In3 Ni3'
_cell_length_a 7.6164
_cell_length_b 7.6164
_cell_length_c 3.9024
_cell_angle_alpha 90.00
_cell_angle_beta 90.00
_cell_angle_gamma 120.00
_symmetry_space_group_name_H-M 'P -6 2 m'
_symmetry_Int_Tables_number 189
_symmetry_space_group_name_Hall 'P -6 -2'
loop_
_atom_site_label
_atom_site_fract_x
_atom_site_fract_y
_atom_site_fract_z
_atom_site_occupancy
Pr1 0.0000 0.4170 0.0000 1
In1 0.0000 0.7549 0.5000 1
Ni1 0.0000 0.0000 0.0000 1
Ni2 0.3333 0.6667 0.5000 1
```